# Ca2Ta2CoO8, relaxed, DFT GGA+U
data_Ca2Ta2CoO8
_chemical_formula_sum 'Ca8 Ta8 Co4 O32'
_symmetry_space_group_name_H-M 'P 1'
_symmetry_Int_Tables_number 1
_symmetry_space_group_name_Hall 'P 1'
_cell_length_a 6.346
_cell_length_b 10.930
_cell_length_c 11.253
_cell_angle_alpha 62.72
_cell_angle_beta 73.62
_cell_angle_gamma 89.92
loop_
_atom_site_label
_atom_site_type_symbol
_atom_site_fract_x
_atom_site_fract_y
_atom_site_fract_z
Ca1 Ca 0.000 0.000 0.000
Ca2 Ca 0.000 0.500 0.001
Ca3 Ca 0.227 0.827 0.831
Ca4 Ca 0.228 0.327 0.832
Ca5 Ca 0.582 0.576 0.835
Ca6 Ca 0.584 0.077 0.833
Ca7 Ca 0.642 0.749 0.003
Ca8 Ca 0.643 0.249 0.001
Ta1 Ta 0.076 0.149 0.194
Ta2 Ta 0.076 0.649 0.194
Ta3 Ta 0.151 0.178 0.639
Ta4 Ta 0.151 0.678 0.640
Ta5 Ta 0.374 0.398 0.195
Ta6 Ta 0.374 0.898 0.195
Ta7 Ta 0.851 0.927 0.640
Ta8 Ta 0.853 0.428 0.640
Co1 Co 0.475 0.037 0.417
Co2 Co 0.476 0.539 0.418
Co3 Co 0.751 0.788 0.417
Co4 Co 0.752 0.288 0.416
O1 O 0.058 0.440 0.277
O2 O 0.059 0.939 0.278
O3 O 0.169 0.387 0.557
O4 O 0.169 0.887 0.558
O5 O 0.234 0.846 0.056
O6 O 0.235 0.346 0.055
O7 O 0.275 0.648 0.787
O8 O 0.276 0.149 0.786
O9 O 0.309 0.189 0.277
O10 O 0.312 0.689 0.277
O11 O 0.355 0.096 0.055
O12 O 0.355 0.595 0.055
O13 O 0.406 0.146 0.530
O14 O 0.409 0.648 0.530
O15 O 0.522 0.428 0.305
O16 O 0.523 0.928 0.305
O17 O 0.581 0.898 0.787
O18 O 0.582 0.399 0.786
O19 O 0.645 0.928 0.048
O20 O 0.646 0.427 0.049
O21 O 0.703 0.898 0.530
O22 O 0.705 0.398 0.530
O23 O 0.818 0.179 0.303
O24 O 0.818 0.679 0.304
O25 O 0.871 0.730 0.779
O26 O 0.872 0.231 0.779
O27 O 0.914 0.137 0.558
O28 O 0.919 0.637 0.556
O29 O 0.952 0.177 0.047
O30 O 0.952 0.678 0.047
O31 O 0.991 0.981 0.779
O32 O 0.993 0.481 0.779
# Formation enthalpy at 0 K: -3.050 eV/atom